(1)
This record from Materials Project describes crystalline H9PtN2ClO2 at its relaxed geometry. The functional is PBE.

```
H9PtN2ClO2
1.0
-1.5648 0.6214 -4.0576
-7.4662 0.3359 2.9309
-5.2316 17.9560 4.7673
H N O Cl Pt
36 8 8 4 4
Direct
0.0112 0.5823 0.4246 H
0.2029 0.9017 0.0722 H
0.4395 0.7515 0.1309 H
0.2971 0.9017 0.5722 H
0.7743 0.7821 0.7566 H
0.0605 0.7515 0.6309 H
0.7971 0.0983 0.9278 H
0.4888 0.5823 0.9246 H
0.8386 0.9860 0.7441 H
0.9007 0.2988 0.6630 H
0.2743 0.2179 0.7434 H
0.3386 0.0140 0.7559 H
0.6799 0.2906 0.5939 H
0.3201 0.7094 0.4061 H
0.7029 0.0983 0.4278 H
0.1431 0.8300 0.1638 H
0.1799 0.7094 0.9061 H
0.2257 0.2179 0.2434 H
0.7673 0.5194 0.7596 H
0.7327 0.5194 0.2596 H
0.5605 0.2485 0.8691 H
0.2673 0.4806 0.7404 H
0.8569 0.1700 0.8362 H
0.5993 0.2988 0.1630 H
0.7257 0.7821 0.2566 H
0.9395 0.2485 0.3691 H
0.5112 0.4177 0.0754 H
0.6614 0.9860 0.2441 H
0.6431 0.1700 0.3362 H
0.4007 0.7012 0.8370 H
0.9888 0.4177 0.5754 H
0.0993 0.7012 0.3370 H
0.3569 0.8300 0.6638 H
0.8201 0.2906 0.0939 H
0.1614 0.0140 0.2559 H
0.2327 0.4806 0.2404 H
0.6921 0.3739 0.1117 N
0.3079 0.6261 0.8883 N
0.1921 0.6261 0.3883 N
0.2850 0.7906 0.6217 N
0.8079 0.3739 0.6117 N
0.7850 0.2094 0.8783 N
0.7150 0.2094 0.3783 N
0.2150 0.7906 0.1217 N
0.0701 0.4199 0.2230 O
0.4299 0.4199 0.7230 O
0.5701 0.5801 0.2770 O
0.1709 0.0976 0.7559 O
0.3291 0.0976 0.2559 O
0.9299 0.5801 0.7770 O
0.6709 0.9024 0.7441 O
0.8291 0.9024 0.2441 O
0.8050 0.7630 0.9947 Cl
0.6950 0.7630 0.4947 Cl
0.1950 0.2370 0.0053 Cl
0.3050 0.2370 0.5053 Cl
0.4530 0.4167 0.3842 Pt
0.5470 0.5833 0.6158 Pt
0.9530 0.5833 0.1158 Pt
0.0470 0.4167 0.8842 Pt
```

## Properties
energy	-4.957	eV/atom

***

(2)
This record from Materials Project describes crystalline Ba7Ti2Nb4O21 at its relaxed geometry. The functional is PBE.

```
Ba7Ti2Nb4O21
1.0
-6.5873 10.7337 -11.4922
-3.5214 7.2168 -15.0398
-8.9273 5.6956 -13.3618
O Ba Nb Ti
21 7 4 2
Direct
0.2295 0.7452 0.7452 O
0.3853 0.8775 0.8775 O
0.0000 0.5000 0.5000 O
0.5000 0.0000 0.5000 O
0.8775 0.3853 0.8775 O
0.7705 0.2548 0.2548 O
0.1225 0.6147 0.1225 O
0.7452 0.7452 0.2295 O
0.3625 0.3625 0.8542 O
0.1225 0.1225 0.6147 O
0.3625 0.8542 0.3625 O
0.8542 0.3625 0.3625 O
0.8775 0.8775 0.3853 O
0.6147 0.1225 0.1225 O
0.7452 0.2295 0.7452 O
0.6375 0.6375 0.1458 O
0.2548 0.2548 0.7705 O
0.6375 0.1458 0.6375 O
0.5000 0.5000 0.0000 O
0.1458 0.6375 0.6375 O
0.2548 0.7705 0.2548 O
0.0000 0.0000 0.0000 Ba
0.1488 0.1488 0.1488 Ba
0.2354 0.2354 0.2354 Ba
0.7646 0.7646 0.7646 Ba
0.3823 0.3823 0.3823 Ba
0.8512 0.8512 0.8512 Ba
0.6177 0.6177 0.6177 Ba
0.6924 0.6924 0.6924 Nb
0.5433 0.5433 0.5433 Nb
0.3076 0.3076 0.3076 Nb
0.4567 0.4567 0.4567 Nb
0.0755 0.0755 0.0755 Ti
0.9245 0.9245 0.9245 Ti
```

## Properties
energy	-8.014	eV/atom

***

(3)
This record from Materials Project describes crystalline TiTeSe at its relaxed geometry. The functional is PBE.

```
TiTeSe
1.0
-1.8328 -3.1745 0.0000
-3.6656 0.0000 0.0000
0.0000 0.0000 -6.5620
Ti Te Se
1 1 1
Direct
0.0000 0.0000 0.0223 Ti
0.3333 0.3333 0.7423 Te
0.6667 0.6667 0.2354 Se
```

## Properties
energy	-5.759	eV/atom

***

(4)
This record from Materials Project describes crystalline IrW at its relaxed geometry. The functional is PBE.

```
IrW
1.0
2.7823 0.0000 0.0000
0.0000 4.4956 0.0000
0.0000 0.0000 4.8664
W Ir
2 2
Direct
0.0000 0.2500 0.8277 W
0.0000 0.7500 0.1723 W
0.5000 0.7500 0.6756 Ir
0.5000 0.2500 0.3244 Ir
```

## Properties
energy	-11.206	eV/atom

***

Energy of formation per entry: -0.713; -3.335; -1.072; -0.308 eV per atom